1.
First-principles (PBE+U) data for Li2MnNiP2O8 after structural relaxation, as listed in the Materials Project database.

The structure in POSCAR format:
```
Li2MnNiP2O8
1.0
-0.3070 -4.2987 2.0336
-6.6831 -3.0107 -7.3382
4.6121 -1.9399 -3.4045
P O Li Mn Ni
4 16 4 2 2
Direct
0.0900 0.5982 0.2500
0.4202 0.0881 0.2500
0.5798 0.9119 0.7500
0.9100 0.4018 0.7500
0.2942 0.9495 0.2500
0.2329 0.3950 0.7500
0.7695 0.3325 0.5473
0.7670 0.6050 0.2500
0.2305 0.6675 0.0473
0.2578 0.9092 0.7500
0.7695 0.3325 0.9527
0.2874 0.1595 0.0448
0.7126 0.8405 0.5448
0.7126 0.8405 0.9552
0.7422 0.0908 0.2500
0.2305 0.6675 0.4527
0.7058 0.0505 0.7500
0.7949 0.5420 0.7500
0.2051 0.4580 0.2500
0.2874 0.1595 0.4552
0.0000 0.0000 0.0000
0.5000 0.5000 0.5000
0.0000 0.0000 0.5000
0.5000 0.5000 0.0000
0.0187 0.7236 0.7500
0.9812 0.2764 0.2500
0.4819 0.2203 0.7500
0.5181 0.7797 0.2500
```

Values from the calculation:
Symmetry: P2_1/m, No. 11
Volume, Å³ per atom: 10.7

2.
First-principles (PBE+U) data for Li4Mn3Ni3P6O24 after structural relaxation, as listed in the Materials Project database.

The structure in POSCAR format:
```
Li4Mn3Ni3P6O24
1.0
-5.3738 -0.2380 6.5268
-5.4219 -6.6006 0.3730
1.3845 -5.9423 6.0023
O P Li Ni Mn
24 6 4 3 3
Direct
0.3198 0.1038 0.5236
0.0404 0.6036 0.8164
0.9889 0.3844 0.1943
0.0991 0.9286 0.7440
0.4287 0.5990 0.2402
0.0667 0.2556 0.9162
0.2473 0.4229 0.6007
0.8222 0.0106 0.6065
0.3832 0.1863 0.9987
0.2480 0.9134 0.0727
0.6978 0.8892 0.4784
0.4519 0.6990 0.8936
0.1059 0.5180 0.3240
0.7585 0.5663 0.4038
0.8846 0.4960 0.7059
0.9130 0.0698 0.2532
0.5407 0.4159 0.7685
0.9526 0.7315 0.0858
0.4007 0.7554 0.5675
0.7383 0.0964 0.9286
0.1900 0.9902 0.3872
0.5264 0.3146 0.1065
0.6106 0.8129 0.9938
0.6016 0.2421 0.4281
0.4479 0.7529 0.0431
0.9529 0.5488 0.2551
0.0517 0.4563 0.7555
0.2531 0.9528 0.5500
0.5489 0.2524 0.9540
0.7548 0.0441 0.4559
0.7260 0.3537 0.1458
0.3555 0.1436 0.7258
0.2507 0.6457 0.8513
0.1446 0.7229 0.3550
0.6431 0.6471 0.6438
0.8570 0.8537 0.8523
0.3556 0.3500 0.3537
0.9832 0.0011 0.9966
0.1456 0.1471 0.1519
0.5124 0.4993 0.4951
```

Values from the calculation:
Symmetry: P1, No. 1
Volume, Å³ per atom: 11.6

3.
First-principles (PBE+U) data for Li6MnNi3P6O24 after structural relaxation, as listed in the Materials Project database.

The structure in POSCAR format:
```
Li6MnNi3P6O24
1.0
-0.6863 -1.9754 8.2081
7.1088 -2.1032 4.2378
3.0661 5.5296 5.7427
Li P O Mn Ni
6 6 24 1 3
Direct
0.4824 0.5069 0.4912
0.2705 0.8584 0.6414
0.7464 0.1517 0.3521
0.6467 0.2772 0.8565
0.8585 0.6471 0.2721
0.0202 0.0128 0.9941
0.7487 0.4555 0.0451
0.9554 0.2440 0.5390
0.2442 0.5403 0.9574
0.4525 0.0495 0.7477
0.0507 0.7493 0.4522
0.5440 0.9623 0.2465
0.9458 0.0739 0.7330
0.1300 0.2806 0.5003
0.8970 0.6811 0.4795
0.6797 0.4805 0.8953
0.4523 0.2360 0.5859
0.0739 0.7344 0.9459
0.6024 0.4321 0.2429
0.7339 0.9460 0.0718
0.2029 0.3753 0.9755
0.5422 0.1168 0.2917
0.6248 0.0037 0.8021
0.2679 0.0531 0.9158
0.3978 0.5752 0.7614
0.4731 0.8968 0.6838
0.0301 0.9286 0.2757
0.8062 0.6219 0.0051
0.0132 0.8002 0.6228
0.9575 0.2047 0.3794
0.2460 0.6036 0.4249
0.9131 0.2649 0.0531
0.2895 0.5116 0.1219
0.3653 0.9985 0.2159
0.5751 0.7645 0.3985
0.7629 0.4011 0.5772
0.8560 0.8539 0.8544
0.3594 0.3619 0.3556
0.1383 0.1462 0.1412
0.6435 0.6470 0.6454
```

Values from the calculation:
Symmetry: P1, No. 1
Volume, Å³ per atom: 11.4

4.
First-principles (PBE+U) data for Li4MnNi5P6O24 after structural relaxation, as listed in the Materials Project database.

The structure in POSCAR format:
```
Li4MnNi5P6O24
1.0
8.3357 0.0000 0.0000
3.7592 7.5155 0.0000
3.7487 2.3638 7.1420
O P Mn Ni Li
24 6 1 5 4
Direct
0.8877 0.4943 0.6992
0.0682 0.2497 0.9136
0.9498 0.7379 0.0893
0.2432 0.9127 0.0729
0.5471 0.4113 0.7593
0.4536 0.6926 0.8963
0.7500 0.5663 0.4009
0.0388 0.6012 0.8221
0.3247 0.1017 0.5213
0.9878 0.3850 0.1895
0.4252 0.6025 0.2480
0.6899 0.8924 0.4800
0.7466 0.0976 0.9302
0.3869 0.1827 0.9929
0.5226 0.3220 0.1032
0.9102 0.0694 0.2479
0.1011 0.5166 0.3303
0.6038 0.2491 0.4262
0.2533 0.4210 0.6026
0.8283 0.0105 0.6035
0.1019 0.9278 0.7497
0.1859 0.9886 0.3876
0.3975 0.7487 0.5686
0.6076 0.8179 0.9966
0.9476 0.5517 0.2554
0.7541 0.0474 0.4535
0.0541 0.4534 0.7550
0.5541 0.2516 0.9493
0.4465 0.7526 0.0470
0.2528 0.9497 0.5521
0.1459 0.1464 0.1492
0.9886 0.9997 0.9973
0.8565 0.8563 0.8547
0.5077 0.4992 0.4973
0.3548 0.3511 0.3539
0.6438 0.6451 0.6410
0.7287 0.3552 0.1474
0.3590 0.1445 0.7285
0.2497 0.6463 0.8525
0.1441 0.7273 0.3574
```

Values from the calculation:
Symmetry: P1, No. 1
Volume, Å³ per atom: 11.2

ΔH_f (0 K), respectively: -2.4951; -2.3500; -2.3080; -2.2463 eV per atom.
Total magnetic moment, respectively: 0.000; 19.000; 7.000; 13.000 μB/f.u..